Entry 1:
VASP calculation (GGA+U) on an optimized crystal structure of Li4V3Fe3Sn2O16.

a b c (Å): 5.9021 5.9438 9.8631
angles (deg): 89.40 89.83 60.41
Fractional positions:
Li (0.0000, 0.0000, 0.0000)
Li (0.9996, 0.0002, 0.5000)
Li (0.3392, 0.3208, 0.1023)
Li (0.6717, 0.6552, 0.5984)
V (0.1792, 0.1710, 0.7787)
V (0.6482, 0.1713, 0.7785)
V (0.8279, 0.3432, 0.2740)
Fe (0.1671, 0.6649, 0.7783)
Fe (0.3423, 0.8287, 0.2806)
Fe (0.8280, 0.8292, 0.2806)
Sn (0.3321, 0.3341, 0.4982)
Sn (0.6675, 0.6637, 0.0027)
O (0.0429, 0.4640, 0.6589)
O (0.1561, 0.1666, 0.3919)
O (0.1595, 0.6798, 0.3974)
O (0.3233, 0.8445, 0.8897)
O (0.3429, 0.3121, 0.8923)
O (0.4863, 0.0270, 0.6538)
O (0.4922, 0.4635, 0.6585)
O (0.5219, 0.9555, 0.1503)
O (0.5298, 0.4996, 0.1524)
O (0.6761, 0.1668, 0.3920)
O (0.6848, 0.6299, 0.3894)
O (0.8307, 0.8453, 0.8896)
O (0.8385, 0.3208, 0.8865)
O (0.9695, 0.4995, 0.1528)
O (0.9890, 0.0202, 0.1874)
O (0.9885, 0.0228, 0.6889)

Results
For the spin magnetization, the calculation gives 0.607 μB/atom. The calculated volume comes out at 300.9 Å³ per cell. Its energy of formation is -2.1673 eV per atom. The value obtained for the relative energy among the computed polymorphs is 22 meV/atom. Its space group is No. 1.


Entry 2:
VASP calculation (GGA+U) on an optimized crystal structure of MgMn6O10F2.

a b c (Å): 5.6991 5.8934 7.6559
angles (deg): 108.90 98.72 110.22
Fractional positions:
Mg (0.0000, 0.0000, 0.0000)
Mn (0.0236, 0.4745, 0.9878)
Mn (0.3196, 0.5651, 0.3751)
Mn (0.3922, 0.0447, 0.8307)
Mn (0.6286, 0.0156, 0.1757)
Mn (0.6538, 0.4367, 0.6099)
Mn (0.9986, 0.0143, 0.5154)
O (0.1156, 0.1727, 0.8133)
O (0.2457, 0.8644, 0.5585)
O (0.2887, 0.3334, 0.5103)
O (0.3581, 0.7047, 0.1733)
O (0.4064, 0.1594, 0.1040)
O (0.5979, 0.8766, 0.9028)
O (0.6637, 0.3287, 0.8289)
O (0.6902, 0.6896, 0.4979)
O (0.7580, 0.1652, 0.4509)
O (0.9694, 0.3223, 0.1774)
F (0.0432, 0.6907, 0.8243)
F (0.8984, 0.8444, 0.1888)

Results
For the spin magnetization, the calculation gives 1.158 μB/atom. The calculated volume comes out at 218.0 Å³ per cell. Its energy of formation is -2.0608 eV per atom. The value obtained for the relative energy among the computed polymorphs is 70 meV/atom. Its space group is No. 1.